Computed, not measured: a relaxed structure of Li3Cr13Ni3S24O96 at the GGA+U level of DFT.

Output
**DFT formation energy**: -1.969 eV per atom
**Total magnetic moment**: 45.001 μB/f.u.
**SG**: No. 1
**Calculated total energy**: -896.99 eV for the cell shown

Geometry as POSCAR:
```
Li3Cr13Ni3S24O96
1.0
5.910 -4.483 3.721
6.168 4.312 4.636
-12.315 -3.287 24.625
O S Cr Li Ni
96 24 13 3 3
Direct
0.467 0.605 0.844 O
0.417 0.048 0.747 O
0.089 0.141 0.743 O
0.964 0.217 0.918 O
0.590 0.638 0.243 O
0.714 0.966 0.668 O
0.936 0.321 0.560 O
0.245 0.556 0.262 O
0.407 0.357 0.757 O
0.954 0.532 0.930 O
0.669 0.291 0.996 O
0.568 0.596 0.675 O
0.167 0.798 0.497 O
0.539 0.286 0.582 O
0.705 0.283 0.679 O
0.318 0.346 0.425 O
0.392 0.920 0.154 O
0.881 0.767 0.163 O
0.430 0.403 0.326 O
0.064 0.678 0.439 O
0.627 0.730 0.337 O
0.248 0.946 0.238 O
0.929 0.708 0.629 O
0.963 0.392 0.473 O
0.582 0.961 0.253 O
0.217 0.355 0.594 O
0.712 0.860 0.095 O
0.820 0.422 0.190 O
0.066 0.296 0.373 O
0.909 0.857 0.257 O
0.857 0.331 0.095 O
0.350 0.835 0.594 O
0.186 0.571 0.810 O
0.600 0.085 0.844 O
0.438 0.825 0.060 O
0.539 0.390 0.155 O
0.066 0.096 0.173 O
0.178 0.959 0.879 O
0.000 0.694 0.989 O
0.206 0.783 0.178 O
0.996 0.306 0.012 O
0.382 0.268 0.663 O
0.145 0.666 0.906 O
0.322 0.543 0.622 O
0.493 0.810 0.511 O
0.928 0.905 0.825 O
0.290 0.144 0.905 O
0.840 0.891 0.493 O
0.793 0.218 0.821 O
0.158 0.106 0.507 O
0.748 0.444 0.739 O
0.791 0.355 0.277 O
0.212 0.643 0.723 O
0.429 0.207 0.128 O
0.543 0.968 0.571 O
0.917 0.545 0.248 O
0.743 0.059 0.761 O
0.502 0.194 0.488 O
0.035 0.787 0.082 O
0.679 0.456 0.379 O
0.040 0.894 0.655 O
0.632 0.517 0.914 O
0.644 0.170 0.404 O
0.314 0.928 0.689 O
0.128 0.019 0.414 O
0.460 0.894 0.973 O
0.216 0.462 0.168 O
0.080 0.457 0.752 O
0.123 0.232 0.837 O
0.873 0.982 0.587 O
0.818 0.845 0.925 O
0.340 0.390 0.993 O
0.677 0.655 0.575 O
0.369 0.484 0.087 O
0.183 0.154 0.075 O
0.539 0.106 0.027 O
0.466 0.713 0.418 O
0.572 0.792 0.872 O
0.291 0.857 0.776 O
0.961 0.111 0.345 O
0.660 0.610 0.007 O
0.562 0.174 0.940 O
0.330 0.709 0.004 O
0.045 0.467 0.071 O
0.789 0.536 0.832 O
0.041 0.607 0.526 O
0.895 0.417 0.656 O
0.292 0.716 0.322 O
0.457 0.033 0.429 O
0.284 0.040 0.333 O
0.717 0.145 0.223 O
0.689 0.076 0.309 O
0.830 0.207 0.502 O
0.790 0.638 0.406 O
0.820 0.043 0.122 O
0.101 0.579 0.344 O
0.774 0.492 0.239 S
0.887 0.884 0.636 S
0.364 0.363 0.615 S
0.276 0.991 0.740 S
0.981 0.684 0.937 S
0.136 0.134 0.886 S
0.388 0.386 0.134 S
0.273 0.566 0.313 S
0.968 0.261 0.511 S
0.114 0.115 0.365 S
0.217 0.511 0.761 S
0.227 0.937 0.187 S
0.773 0.064 0.812 S
0.719 0.013 0.259 S
0.527 0.241 0.990 S
0.026 0.741 0.490 S
0.638 0.634 0.385 S
0.614 0.612 0.865 S
0.022 0.315 0.063 S
0.480 0.185 0.437 S
0.523 0.814 0.562 S
0.472 0.758 0.010 S
0.863 0.864 0.115 S
0.731 0.434 0.687 S
0.309 0.727 0.662 Cr
0.057 0.478 0.411 Cr
0.065 0.665 0.210 Cr
0.558 0.975 0.912 Cr
0.312 0.916 0.460 Cr
0.562 0.168 0.711 Cr
0.685 0.087 0.538 Cr
0.188 0.586 0.037 Cr
0.934 0.337 0.788 Cr
0.696 0.271 0.339 Cr
0.444 0.021 0.089 Cr
0.807 0.230 0.160 Cr
0.810 0.417 0.962 Cr
0.377 0.187 0.809 Li
0.877 0.687 0.308 Li
0.128 0.937 0.559 Li
0.433 0.839 0.287 Ni
0.197 0.768 0.840 Ni
0.946 0.517 0.590 Ni
```

=====

Computed, not measured: a relaxed structure of V5SnP6O24 at the GGA+U level of DFT.

Output
**DFT formation energy**: -2.592 eV per atom
**Total magnetic moment**: 11.000 μB/f.u.
**SG**: No. 146
**Calculated total energy**: -269.00 eV for the cell shown

Geometry as POSCAR:
```
V5SnP6O24
1.0
-5.251 6.590 2.004
-7.642 0.758 -4.005
-7.307 -1.528 4.391
V O P Sn
5 24 6 1
Direct
0.144 0.144 0.144 V
0.356 0.356 0.356 V
0.002 0.002 0.002 V
0.642 0.642 0.642 V
0.500 0.500 0.500 V
0.759 0.560 0.410 O
0.606 0.811 0.017 O
0.436 0.588 0.242 O
0.496 0.688 0.887 O
0.388 0.186 0.995 O
0.317 0.112 0.503 O
0.112 0.503 0.317 O
0.258 0.910 0.062 O
0.091 0.943 0.740 O
0.242 0.436 0.588 O
0.017 0.606 0.811 O
0.811 0.017 0.606 O
0.588 0.242 0.436 O
0.186 0.995 0.388 O
0.062 0.258 0.910 O
0.410 0.759 0.560 O
0.995 0.388 0.186 O
0.560 0.410 0.759 O
0.503 0.317 0.112 O
0.910 0.062 0.258 O
0.943 0.740 0.091 O
0.740 0.091 0.943 O
0.688 0.887 0.496 O
0.887 0.496 0.688 O
0.540 0.253 0.957 P
0.957 0.540 0.253 P
0.253 0.957 0.540 P
0.748 0.046 0.452 P
0.452 0.748 0.046 P
0.046 0.452 0.748 P
0.855 0.855 0.855 Sn
```

=====

Computed, not measured: a relaxed structure of Li4MnCr5O12 at the GGA+U level of DFT.

Output
**DFT formation energy**: -2.214 eV per atom
**Total magnetic moment**: 17.000 μB/f.u.
**SG**: No. 12
**Calculated total energy**: -153.24 eV for the cell shown

Geometry as POSCAR:
```
Li4MnCr5O12
1.0
4.431 2.565 0.000
-4.431 2.565 0.000
0.000 0.025 10.103
O Cr Li Mn
12 5 4 1
Direct
0.492 0.836 0.607 O
0.169 0.169 0.595 O
0.164 0.508 0.393 O
0.673 0.006 0.105 O
0.679 0.679 0.901 O
0.321 0.321 0.099 O
0.006 0.673 0.105 O
0.836 0.492 0.607 O
0.508 0.164 0.393 O
0.831 0.831 0.405 O
0.994 0.327 0.895 O
0.327 0.994 0.895 O
0.337 0.663 0.000 Cr
0.835 0.165 0.500 Cr
0.663 0.337 0.000 Cr
0.500 0.500 0.500 Cr
0.165 0.835 0.500 Cr
0.152 0.653 0.749 Li
0.347 0.848 0.251 Li
0.848 0.347 0.251 Li
0.653 0.152 0.749 Li
0.000 0.000 0.000 Mn
```

=====

Computed, not measured: a relaxed structure of CsMnVF6 at the GGA+U level of DFT.

Output
**DFT formation energy**: -3.148 eV per atom
**SG**: No. 74
**Calculated total energy**: -105.64 eV for the cell shown

Geometry as POSCAR:
```
CsMnVF6
1.0
-3.782 3.823 5.429
3.782 -3.823 5.429
3.782 3.823 -5.429
F V Cs Mn
12 2 2 2
Direct
0.935 0.574 0.768 F
0.058 0.808 0.250 F
0.306 0.167 0.732 F
0.935 0.167 0.361 F
0.694 0.426 0.861 F
0.694 0.833 0.268 F
0.306 0.574 0.139 F
0.327 0.577 0.750 F
0.065 0.833 0.639 F
0.673 0.423 0.250 F
0.065 0.426 0.232 F
0.942 0.192 0.750 F
0.000 0.000 0.500 V
0.000 0.500 0.000 V
0.379 0.129 0.250 Cs
0.621 0.871 0.750 Cs
0.500 0.500 0.000 Mn
0.000 0.500 0.500 Mn
```

=====

Computed, not measured: a relaxed structure of Li9Mn7O16 at the GGA+U level of DFT.

Output
**DFT formation energy**: -2.135 eV per atom
**Total magnetic moment**: 26.001 μB/f.u.
**Energy relative to the lowest polymorph listed for this composition**: 0.010 eV per atom
**SG**: No. 2
**Calculated total energy**: -206.13 eV for the cell shown

Geometry as POSCAR:
```
Li9Mn7O16
1.0
-2.302 -2.130 -3.958
5.239 -1.355 -2.727
0.724 -9.067 3.639
Li Mn O
9 7 16
Direct
0.500 0.000 0.000 Li
0.621 0.182 0.244 Li
0.130 0.441 0.247 Li
0.871 0.066 0.752 Li
0.379 0.818 0.756 Li
0.129 0.934 0.248 Li
0.870 0.559 0.753 Li
0.622 0.692 0.247 Li
0.378 0.308 0.753 Li
0.500 0.500 0.000 Mn
0.001 0.759 0.999 Mn
0.750 0.375 0.500 Mn
0.750 0.875 0.500 Mn
0.250 0.125 0.500 Mn
0.250 0.625 0.500 Mn
0.999 0.241 0.001 Mn
0.193 0.534 0.889 O
0.447 0.922 0.381 O
0.838 0.971 0.116 O
0.054 0.330 0.617 O
0.553 0.078 0.619 O
0.553 0.580 0.617 O
0.946 0.670 0.383 O
0.693 0.293 0.887 O
0.307 0.707 0.113 O
0.447 0.420 0.383 O
0.316 0.250 0.105 O
0.162 0.029 0.884 O
0.684 0.750 0.895 O
0.807 0.466 0.111 O
0.948 0.171 0.383 O
0.052 0.829 0.617 O
```

=====

Computed, not measured: a relaxed structure of Na3CoBPO7 at the GGA+U level of DFT.

Output
**DFT formation energy**: -2.297 eV per atom
**Total magnetic moment**: 0.000 μB/f.u.
**Energy relative to the lowest polymorph listed for this composition**: 0.027 eV per atom
**SG**: No. 1
**Calculated total energy**: -324.89 eV for the cell shown

Geometry as POSCAR:
```
Na3CoBPO7
1.0
-0.003 6.662 -0.013
0.147 -0.022 10.518
8.923 -0.005 0.154
O Na B P Co
28 12 4 4 4
Direct
0.935 0.610 0.678 O
0.256 0.020 0.860 O
0.749 0.354 0.917 O
0.248 0.212 0.467 O
0.751 0.288 0.532 O
0.065 0.888 0.323 O
0.248 0.146 0.083 O
0.563 0.613 0.676 O
0.749 0.262 0.169 O
0.436 0.890 0.323 O
0.063 0.388 0.324 O
0.743 0.481 0.140 O
0.252 0.712 0.467 O
0.750 0.566 0.432 O
0.250 0.435 0.568 O
0.752 0.763 0.170 O
0.753 0.789 0.534 O
0.745 0.981 0.139 O
0.750 0.064 0.433 O
0.936 0.112 0.677 O
0.752 0.853 0.916 O
0.250 0.238 0.831 O
0.250 0.738 0.831 O
0.243 0.520 0.860 O
0.565 0.111 0.678 O
0.250 0.935 0.568 O
0.250 0.646 0.084 O
0.434 0.389 0.323 O
0.997 0.377 0.743 Na
0.253 0.879 0.076 Na
0.001 0.123 0.257 Na
0.497 0.124 0.258 Na
0.503 0.375 0.741 Na
0.751 0.621 0.924 Na
0.998 0.874 0.741 Na
0.498 0.623 0.258 Na
0.251 0.378 0.076 Na
0.748 0.121 0.924 Na
0.504 0.878 0.743 Na
0.003 0.624 0.259 Na
0.248 0.636 0.934 B
0.251 0.136 0.934 B
0.747 0.364 0.066 B
0.750 0.865 0.066 B
0.250 0.358 0.424 P
0.751 0.642 0.577 P
0.252 0.858 0.423 P
0.749 0.141 0.577 P
0.754 0.885 0.339 Co
0.244 0.114 0.661 Co
0.755 0.386 0.339 Co
0.256 0.614 0.661 Co
```